Model a:
This record from Materials Project describes a geometry-optimized CaVFeP4O14 structure. The functional is PBE with a Hubbard U.

```
21
Lattice="4.9073 0.0254 0.0784 0.0294 8.1502 -0.0074 -2.1904 0.0069 6.8531" Properties=species:S:1:pos:R:3 pbc="T T T"
O 1.7442 7.5333 0.6668
O -1.3005 5.5147 6.4028
O 0.5901 5.7568 4.3841
O -0.2746 0.5920 3.1370
O 2.5514 7.1110 3.5468
O 4.3285 6.6769 1.3444
O 3.9488 1.2540 0.4664
O 2.8358 4.6109 3.9473
O 1.1963 1.2213 4.9348
O 2.0053 1.5717 2.4997
O -1.6274 2.4244 5.6478
O 0.9559 3.4474 6.2065
O 0.2273 3.0838 3.4785
O 1.4924 5.3705 2.0127
Fe 3.1933 0.1228 1.8686
P 1.8235 2.1973 6.1281
P 0.8359 6.2793 0.8670
P 1.8903 5.7106 3.5401
P 0.7883 1.6881 3.3875
V -0.5567 4.0799 5.0562
Ca -0.6274 7.6227 5.1133
```

Computed properties:
- SG: No. 1

---

Model b:
This record from Materials Project describes a geometry-optimized CaVFeP4O14 structure. The functional is PBE with a Hubbard U.

```
21
Lattice="-4.2181 2.0544 -1.6902 -2.2324 -7.3385 -3.2963 -1.4578 -2.5888 6.4186" Properties=species:S:1:pos:R:3 pbc="T T T"
O -3.2900 -1.0766 0.7841
O -4.6565 -4.2181 3.5484
O -3.5856 -4.6189 -1.0862
O -5.6927 -6.0827 -0.8517
O -6.2754 -4.5353 -3.4009
O -4.0467 -5.9544 -3.1947
O -2.0267 -4.5247 4.2697
O -3.4343 -7.1056 3.3667
O -1.5165 -1.3785 2.5989
O -2.7252 -3.4103 1.5810
O -5.5951 -3.7007 0.0793
O -3.8666 -1.7817 3.1556
O -3.9781 0.4367 -1.4828
O -4.3182 -5.6779 1.1257
P -4.8459 -4.9860 -0.1589
P -5.1397 -2.7766 3.5714
P -2.9072 -5.4518 -2.2811
P -2.7747 -1.9450 1.9245
Ca -6.0269 -7.2825 1.3370
Fe -3.8273 0.7637 0.4812
V -3.0540 -5.1004 2.6665
```

Computed properties:
- SG: No. 1

---

Model c:
This record from Materials Project describes a geometry-optimized CaVFeP4O14 structure. The functional is PBE with a Hubbard U.

```
21
Lattice="4.9585 0.1793 0.1601 0.2804 8.6770 -0.3163 -2.1004 -0.3213 6.8073" Properties=species:S:1:pos:R:3 pbc="T T T"
O 1.5600 1.4348 4.8246
O -0.9102 5.3491 6.1660
O 0.6967 5.7210 3.9526
O 2.5705 7.3395 3.4688
O 4.1794 1.8934 0.3683
O -1.3728 2.6637 5.5088
O 2.2737 7.7422 0.3547
O 1.1502 3.6637 5.9500
O 0.3374 3.1116 3.3934
O -0.3554 0.6503 3.4693
O 1.9111 5.5993 1.7237
O 1.8363 1.3739 2.3174
O 3.0645 4.8286 3.7823
O -0.0716 7.0531 1.0333
P 1.2940 6.5923 0.6056
P 2.0901 5.9215 3.3123
P 2.1102 2.4881 5.9490
P 0.7866 1.6303 3.4040
V -0.3493 4.3101 4.7275
Ca 1.7337 1.2259 0.0374
Fe 3.6107 8.4605 2.1033
```

Computed properties:
- SG: No. 1

---

From most stable to least stable, the computed energies give model a, model b, model c.